1.
NdTiCdSbO7: relaxed, PBE-GGA.

Output
Magnetic moment = 0.00 μB per formula unit
Formation energy from the elements = -2775 meV per atom
Volume = 12.85 Å³ per atom
Space-group type = Imma, No. 74

abc: 7.353 7.353 7.353
angles: 120.81 118.39 90.70
Atoms (fractional coordinates):
Nd  0.000  0.000  0.000
Nd  0.500  0.000  0.500
Ti  0.500  0.000  0.000
Ti  0.500  0.500  0.500
Cd  0.000  0.000  0.500
Cd  0.000  0.500  0.000
Sb  0.000  0.500  0.500
Sb  0.500  0.500  0.000
O  0.119  0.869  0.250
O  0.173  0.423  0.750
O  0.181  0.421  0.357
O  0.181  0.824  0.760
O  0.427  0.177  0.250
O  0.436  0.176  0.857
O  0.436  0.579  0.260
O  0.564  0.421  0.740
O  0.564  0.824  0.143
O  0.573  0.823  0.750
O  0.819  0.176  0.240
O  0.819  0.579  0.643
O  0.827  0.577  0.250
O  0.881  0.131  0.750



2.
NdTiCdSbO7: relaxed, PBE-GGA.

Output
Magnetic moment = 0.00 μB per formula unit
Formation energy from the elements = -2776 meV per atom
Volume = 12.90 Å³ per atom
Space-group type = P4_122, No. 91

abc: 7.364 7.364 10.467
angles: 90.00 90.00 90.00
Atoms (fractional coordinates):
Nd  0.000  0.264  0.000
Nd  0.000  0.736  0.500
Nd  0.264  0.000  0.750
Nd  0.736  0.000  0.250
Ti  0.000  0.238  0.500
Ti  0.000  0.762  0.000
Ti  0.238  0.000  0.250
Ti  0.762  0.000  0.750
Cd  0.264  0.500  0.750
Cd  0.500  0.264  0.000
Cd  0.500  0.736  0.500
Cd  0.736  0.500  0.250
Sb  0.244  0.500  0.250
Sb  0.500  0.244  0.500
Sb  0.500  0.756  0.000
Sb  0.756  0.500  0.750
O  0.047  0.047  0.375
O  0.047  0.953  0.125
O  0.054  0.445  0.381
O  0.054  0.555  0.119
O  0.236  0.250  0.178
O  0.236  0.750  0.322
O  0.250  0.236  0.572
O  0.250  0.764  0.928
O  0.261  0.261  0.875
O  0.261  0.739  0.625
O  0.445  0.054  0.369
O  0.445  0.946  0.131
O  0.448  0.448  0.375
O  0.448  0.552  0.125
O  0.552  0.448  0.625
O  0.552  0.552  0.875
O  0.555  0.054  0.631
O  0.555  0.946  0.869
O  0.739  0.261  0.125
O  0.739  0.739  0.375
O  0.750  0.236  0.428
O  0.750  0.764  0.072
O  0.764  0.250  0.822
O  0.764  0.750  0.678
O  0.946  0.445  0.619
O  0.946  0.555  0.881
O  0.953  0.047  0.625
O  0.953  0.953  0.875



3.
Nd4CdPt: relaxed, PBE-GGA.

Output
Formation energy from the elements = -536 meV per atom
Volume = 29.65 Å³ per atom
Space-group type = F-43m, No. 216

abc: 10.022 10.022 10.022
angles: 60.00 60.00 60.00
Atoms (fractional coordinates):
Nd  0.185  0.185  0.815
Nd  0.185  0.815  0.185
Nd  0.185  0.815  0.815
Nd  0.401  0.401  0.401
Nd  0.401  0.401  0.797
Nd  0.401  0.797  0.401
Nd  0.558  0.558  0.942
Nd  0.558  0.942  0.558
Nd  0.558  0.942  0.942
Nd  0.797  0.401  0.401
Nd  0.815  0.185  0.185
Nd  0.815  0.185  0.815
Nd  0.815  0.815  0.185
Nd  0.942  0.558  0.558
Nd  0.942  0.558  0.942
Nd  0.942  0.942  0.558
Cd  0.170  0.170  0.170
Cd  0.170  0.170  0.491
Cd  0.170  0.491  0.170
Cd  0.491  0.170  0.170
Pt  0.177  0.608  0.608
Pt  0.608  0.177  0.608
Pt  0.608  0.608  0.177
Pt  0.608  0.608  0.608



4.
Nd2CdSb4: relaxed, PBE-GGA.

Output
Formation energy from the elements = -811 meV per atom
Volume = 29.69 Å³ per atom
Space-group type = P-4m2, No. 115

abc: 4.382 4.382 10.823
angles: 90.00 90.00 90.00
Atoms (fractional coordinates):
Nd  0.000  0.500  0.234
Nd  0.500  0.000  0.766
Cd  0.500  0.500  0.500
Sb  0.000  0.000  0.000
Sb  0.000  0.500  0.674
Sb  0.500  0.000  0.326
Sb  0.500  0.500  0.000



5.
Nd2CdSe4: relaxed, PBE-GGA.

Output
Magnetic moment = 0.00 μB per formula unit
Formation energy from the elements = -1697 meV per atom
Volume = 25.79 Å³ per atom
Space-group type = I-42d, No. 122

abc: 7.774 7.774 7.774
angles: 110.82 110.82 106.80
Atoms (fractional coordinates):
Nd  0.009  0.125  0.384
Nd  0.375  0.991  0.116
Nd  0.741  0.625  0.616
Nd  0.875  0.259  0.884
Cd  0.250  0.750  0.500
Cd  0.500  0.500  0.000
Se  0.004  0.742  0.124
Se  0.119  0.996  0.737
Se  0.132  0.508  0.763
Se  0.258  0.382  0.263
Se  0.492  0.254  0.624
Se  0.618  0.881  0.876
Se  0.631  0.868  0.376
Se  0.746  0.369  0.237



6.
Nd2TlCd: relaxed, PBE-GGA.

Output
Formation energy from the elements = -351 meV per atom
Volume = 29.48 Å³ per atom
Space-group type = Fm-3m, No. 225

abc: 7.784 7.784 7.784
angles: 90.00 90.00 90.00
Atoms (fractional coordinates):
Nd  0.250  0.250  0.250
Nd  0.250  0.250  0.750
Nd  0.250  0.750  0.250
Nd  0.250  0.750  0.750
Nd  0.750  0.250  0.250
Nd  0.750  0.250  0.750
Nd  0.750  0.750  0.250
Nd  0.750  0.750  0.750
Tl  0.000  0.000  0.000
Tl  0.000  0.500  0.500
Tl  0.500  0.000  0.500
Tl  0.500  0.500  0.000
Cd  0.000  0.000  0.500
Cd  0.000  0.500  0.000
Cd  0.500  0.000  0.000
Cd  0.500  0.500  0.500